# 1
This record from the Materials Project describes a geometry-optimized NbCr2Fe3P6O24 structure. The functional is GGA+U.

Summary:
As for the formation energy: -88.1 eV/f.u. The symmetry is R3, No. 146.

Geometry as CIF:
```
data_NbCr2Fe3P6O24
_chemical_formula_sum 'Nb1 Cr2 Fe3 P6 O24'
_space_group_name_H-M_alt 'P 1'
_space_group_IT_number 1
_space_group_name_Hall 'P 1'
_cell_length_a 8.771
_cell_length_b 8.771
_cell_length_c 8.771
_cell_angle_alpha 59.66
_cell_angle_beta 59.66
_cell_angle_gamma 59.66
loop_
_atom_site_label
_atom_site_type_symbol
_atom_site_fract_x
_atom_site_fract_y
_atom_site_fract_z
_atom_site_occupancy
O1 O 0.614 0.816 0.990 1
O2 O 0.685 0.888 0.499 1
O3 O 0.816 0.990 0.614 1
O4 O 0.999 0.391 0.184 1
O5 O 0.589 0.236 0.445 1
O6 O 0.089 0.934 0.738 1
O7 O 0.060 0.262 0.914 1
O8 O 0.934 0.738 0.089 1
O9 O 0.236 0.445 0.589 1
O10 O 0.762 0.560 0.412 1
O11 O 0.505 0.310 0.113 1
O12 O 0.262 0.914 0.060 1
O13 O 0.499 0.685 0.888 1
O14 O 0.445 0.589 0.236 1
O15 O 0.888 0.499 0.685 1
O16 O 0.914 0.060 0.262 1
O17 O 0.990 0.614 0.816 1
O18 O 0.391 0.184 0.999 1
O19 O 0.184 0.999 0.391 1
O20 O 0.310 0.113 0.505 1
O21 O 0.560 0.412 0.762 1
O22 O 0.113 0.505 0.310 1
O23 O 0.412 0.762 0.560 1
O24 O 0.738 0.089 0.934 1
Nb1 Nb 0.855 0.855 0.855 1
Fe1 Fe 0.149 0.149 0.149 1
Fe2 Fe 0.644 0.644 0.644 1
Fe3 Fe 0.355 0.355 0.355 1
P1 P 0.748 0.044 0.451 1
P2 P 0.044 0.451 0.748 1
P3 P 0.540 0.254 0.956 1
P4 P 0.451 0.748 0.044 1
P5 P 0.254 0.956 0.540 1
P6 P 0.956 0.540 0.254 1
Cr1 Cr 0.009 0.009 0.009 1
Cr2 Cr 0.501 0.501 0.501 1
```

=====

# 2
This record from the Materials Project describes a geometry-optimized Li8Ni11O22 structure. The functional is GGA+U.

Summary:
As for the formation energy: -54.5 eV/f.u. The symmetry is P1, No. 1.

Geometry as CIF:
```
data_Li8Ni11O22
_chemical_formula_sum 'Li16 Ni22 O44'
_space_group_name_H-M_alt 'P 1'
_space_group_IT_number 1
_space_group_name_Hall 'P 1'
_cell_length_a 7.479
_cell_length_b 7.667
_cell_length_c 14.012
_cell_angle_alpha 84.04
_cell_angle_beta 84.39
_cell_angle_gamma 68.81
loop_
_atom_site_label
_atom_site_type_symbol
_atom_site_fract_x
_atom_site_fract_y
_atom_site_fract_z
_atom_site_occupancy
O1 O 0.984 0.804 0.537 1
O2 O 0.912 0.746 0.721 1
O3 O 0.376 0.027 0.373 1
O4 O 0.608 0.642 0.676 1
O5 O 0.169 0.720 0.004 1
O6 O 0.246 0.845 0.779 1
O7 O 0.816 0.289 0.015 1
O8 O 0.697 0.102 0.407 1
O9 O 0.516 0.182 0.950 1
O10 O 0.273 0.564 0.651 1
O11 O 0.076 0.250 0.265 1
O12 O 0.453 0.078 0.187 1
O13 O 0.413 0.749 0.220 1
O14 O 0.237 0.427 0.858 1
O15 O 0.626 0.977 0.625 1
O16 O 0.140 0.396 0.055 1
O17 O 0.880 0.026 0.871 1
O18 O 0.456 0.477 0.097 1
O19 O 0.311 0.889 0.590 1
O20 O 0.527 0.520 0.904 1
O21 O 0.550 0.931 0.819 1
O22 O 0.999 0.186 0.449 1
O23 O 0.260 0.180 0.732 1
O24 O 0.851 0.632 0.964 1
O25 O 0.336 0.298 0.505 1
O26 O 0.195 0.097 0.904 1
O27 O 0.655 0.373 0.549 1
O28 O 0.101 0.648 0.179 1
O29 O 0.054 0.935 0.321 1
O30 O 0.902 0.336 0.810 1
O31 O 0.744 0.844 0.280 1
O32 O 0.950 0.072 0.685 1
O33 O 0.122 0.973 0.129 1
O34 O 0.720 0.427 0.356 1
O35 O 0.576 0.248 0.764 1
O36 O 0.406 0.336 0.312 1
O37 O 0.806 0.892 0.088 1
O38 O 0.028 0.518 0.403 1
O39 O 0.962 0.482 0.597 1
O40 O 0.761 0.174 0.229 1
O41 O 0.353 0.626 0.463 1
O42 O 0.690 0.715 0.498 1
O43 O 0.487 0.791 0.038 1
O44 O 0.790 0.568 0.147 1
Ni1 Ni 0.072 0.091 0.796 1
Ni2 Ni 0.203 0.273 0.388 1
Ni3 Ni 0.885 0.181 0.338 1
Ni4 Ni 0.338 0.452 0.976 1
Ni5 Ni 0.388 0.179 0.840 1
Ni6 Ni 0.752 0.996 0.751 1
Ni7 Ni 0.705 0.273 0.885 1
Ni8 Ni 0.611 0.821 0.158 1
Ni9 Ni 0.796 0.728 0.610 1
Ni10 Ni 0.571 0.090 0.299 1
Ni11 Ni 0.481 0.633 0.570 1
Ni12 Ni 0.659 0.543 0.025 1
Ni13 Ni 0.934 0.908 0.205 1
Ni14 Ni 0.114 0.819 0.660 1
Ni15 Ni 0.842 0.451 0.478 1
Ni16 Ni 0.251 0.999 0.249 1
Ni17 Ni 0.976 0.640 0.070 1
Ni18 Ni 0.292 0.728 0.112 1
Ni19 Ni 0.019 0.368 0.931 1
Ni20 Ni 0.159 0.548 0.526 1
Ni21 Ni 0.521 0.370 0.431 1
Ni22 Ni 0.433 0.911 0.703 1
Li1 Li 0.630 0.181 0.086 1
Li2 Li 0.687 0.900 0.948 1
Li3 Li 0.008 0.001 0.997 1
Li4 Li 0.442 0.277 0.636 1
Li5 Li 0.273 0.368 0.182 1
Li6 Li 0.964 0.271 0.131 1
Li7 Li 0.491 0.996 0.502 1
Li8 Li 0.783 0.367 0.683 1
Li9 Li 0.196 0.898 0.449 1
Li10 Li 0.371 0.814 0.906 1
Li11 Li 0.401 0.552 0.777 1
Li12 Li 0.079 0.467 0.734 1
Li13 Li 0.869 0.807 0.407 1
Li14 Li 0.574 0.471 0.236 1
Li15 Li 0.828 0.090 0.547 1
Li16 Li 0.902 0.554 0.277 1
```

=====

# 3
This record from the Materials Project describes a geometry-optimized Li5FeP4O14 structure. The functional is GGA+U.

Summary:
As for the formation energy: -61.5 eV/f.u. The symmetry is P-1, No. 2.

Geometry as CIF:
```
data_Li5FeP4O14
_chemical_formula_sum 'Li10 Fe2 P8 O28'
_space_group_name_H-M_alt 'P 1'
_space_group_IT_number 1
_space_group_name_Hall 'P 1'
_cell_length_a 7.012
_cell_length_b 8.716
_cell_length_c 9.198
_cell_angle_alpha 79.46
_cell_angle_beta 79.35
_cell_angle_gamma 70.05
loop_
_atom_site_label
_atom_site_type_symbol
_atom_site_fract_x
_atom_site_fract_y
_atom_site_fract_z
_atom_site_occupancy
O1 O 0.441 0.321 0.111 1
O2 O 0.874 0.329 0.602 1
O3 O 0.826 0.949 0.370 1
O4 O 0.515 0.819 0.579 1
O5 O 0.174 0.051 0.630 1
O6 O 0.275 0.934 0.381 1
O7 O 0.233 0.936 0.941 1
O8 O 0.078 0.377 0.345 1
O9 O 0.308 0.465 0.592 1
O10 O 0.126 0.671 0.398 1
O11 O 0.117 0.115 0.142 1
O12 O 0.994 0.767 0.121 1
O13 O 0.485 0.181 0.421 1
O14 O 0.820 0.233 0.371 1
O15 O 0.692 0.535 0.408 1
O16 O 0.366 0.176 0.917 1
O17 O 0.597 0.337 0.833 1
O18 O 0.215 0.491 0.920 1
O19 O 0.403 0.663 0.167 1
O20 O 0.922 0.623 0.655 1
O21 O 0.767 0.064 0.059 1
O22 O 0.725 0.066 0.619 1
O23 O 0.785 0.509 0.080 1
O24 O 0.180 0.767 0.629 1
O25 O 0.634 0.824 0.083 1
O26 O 0.006 0.233 0.879 1
O27 O 0.559 0.679 0.889 1
O28 O 0.883 0.885 0.858 1
Li1 Li 0.240 0.730 0.896 1
Li2 Li 0.578 0.513 0.654 1
Li3 Li 0.691 0.820 0.730 1
Li4 Li 0.048 0.519 0.144 1
Li5 Li 0.739 0.745 0.421 1
Li6 Li 0.952 0.481 0.856 1
Li7 Li 0.422 0.487 0.346 1
Li8 Li 0.261 0.255 0.579 1
Li9 Li 0.309 0.180 0.270 1
Li10 Li 0.760 0.270 0.104 1
P1 P 0.174 0.109 0.972 1
P2 P 0.129 0.623 0.569 1
P3 P 0.826 0.891 0.028 1
P4 P 0.871 0.377 0.431 1
P5 P 0.707 0.099 0.450 1
P6 P 0.594 0.659 0.051 1
P7 P 0.293 0.901 0.550 1
P8 P 0.406 0.341 0.949 1
Fe1 Fe 0.860 0.140 0.757 1
Fe2 Fe 0.140 0.860 0.243 1
```

=====

# 4
This record from the Materials Project describes a geometry-optimized Li9Mn2Co5O16 structure. The functional is GGA+U.

Summary:
As for the formation energy: -58.4 eV/f.u. The symmetry is P-1, No. 2. The energy above the lowest structure with this stoichiometry comes out at 0.040 eV/atom.

Geometry as CIF:
```
data_Li9Mn2Co5O16
_chemical_formula_sum 'Li9 Mn2 Co5 O16'
_space_group_name_H-M_alt 'P 1'
_space_group_IT_number 1
_space_group_name_Hall 'P 1'
_cell_length_a 4.981
_cell_length_b 5.923
_cell_length_c 9.811
_cell_angle_alpha 88.23
_cell_angle_beta 79.13
_cell_angle_gamma 88.50
loop_
_atom_site_label
_atom_site_type_symbol
_atom_site_fract_x
_atom_site_fract_y
_atom_site_fract_z
_atom_site_occupancy
Co1 Co 0.500 0.260 0.000 1
Co2 Co 0.998 0.749 0.501 1
Co3 Co 0.500 0.500 0.500 1
Co4 Co 0.002 0.251 0.499 1
Co5 Co 0.500 0.740 0.000 1
O1 O 0.139 0.229 0.108 1
O2 O 0.860 0.505 0.384 1
O3 O 0.360 0.235 0.383 1
O4 O 0.638 0.274 0.616 1
O5 O 0.365 0.985 0.889 1
O6 O 0.395 0.489 0.887 1
O7 O 0.640 0.765 0.617 1
O8 O 0.635 0.015 0.111 1
O9 O 0.140 0.495 0.616 1
O10 O 0.605 0.511 0.113 1
O11 O 0.134 0.765 0.112 1
O12 O 0.866 0.235 0.888 1
O13 O 0.861 0.771 0.892 1
O14 O 0.362 0.726 0.384 1
O15 O 0.864 0.005 0.385 1
O16 O 0.136 0.995 0.615 1
Li1 Li 0.750 0.257 0.246 1
Li2 Li 0.753 0.003 0.755 1
Li3 Li 0.247 0.997 0.245 1
Li4 Li 0.245 0.501 0.245 1
Li5 Li 0.755 0.499 0.755 1
Li6 Li 0.751 0.742 0.247 1
Li7 Li 0.000 0.500 0.000 1
Li8 Li 0.250 0.743 0.754 1
Li9 Li 0.249 0.258 0.753 1
Mn1 Mn 0.000 0.000 0.000 1
Mn2 Mn 0.500 0.000 0.500 1
```

=====

# 5
This record from the Materials Project describes a geometry-optimized MgCu2W2O8 structure. The functional is GGA+U.

Summary:
As for the formation energy: -24.1 eV/f.u. The symmetry is P2, No. 3. The energy above the lowest structure with this stoichiometry comes out at 0.045 eV/atom.

Geometry as CIF:
```
data_MgCu2W2O8
_chemical_formula_sum 'Mg1 Cu2 W2 O8'
_space_group_name_H-M_alt 'P 1'
_space_group_IT_number 1
_space_group_name_Hall 'P 1'
_cell_length_a 5.791
_cell_length_b 5.125
_cell_length_c 6.371
_cell_angle_alpha 90.00
_cell_angle_beta 90.00
_cell_angle_gamma 109.17
loop_
_atom_site_label
_atom_site_type_symbol
_atom_site_fract_x
_atom_site_fract_y
_atom_site_fract_z
_atom_site_occupancy
O1 O 0.814 0.499 0.094 1
O2 O 0.811 0.006 0.891 1
O3 O 0.791 0.042 0.352 1
O4 O 0.186 0.001 0.094 1
O5 O 0.189 0.494 0.891 1
O6 O 0.209 0.458 0.352 1
O7 O 0.199 0.985 0.659 1
O8 O 0.801 0.515 0.659 1
W1 W 0.000 0.250 0.143 1
W2 W 0.000 0.750 0.866 1
Cu1 Cu 0.500 0.750 0.356 1
Cu2 Cu 0.500 0.250 0.654 1
Mg1 Mg 0.000 0.250 0.613 1
```

=====

# 6
This record from the Materials Project describes a geometry-optimized LiVPH4O7 structure. The functional is GGA+U.

Summary:
As for the formation energy: -28.5 eV/f.u. The symmetry is Cmce, No. 64.

Geometry as CIF:
```
data_LiVPH4O7
_chemical_formula_sum 'Li4 V4 P4 H16 O28'
_space_group_name_H-M_alt 'P 1'
_space_group_IT_number 1
_space_group_name_Hall 'P 1'
_cell_length_a 6.428
_cell_length_b 6.428
_cell_length_c 13.149
_cell_angle_alpha 90.00
_cell_angle_beta 90.00
_cell_angle_gamma 90.39
loop_
_atom_site_label
_atom_site_type_symbol
_atom_site_fract_x
_atom_site_fract_y
_atom_site_fract_z
_atom_site_occupancy
H1 H 0.931 0.238 0.968 1
H2 H 0.262 0.569 0.532 1
H3 H 0.431 0.738 0.532 1
H4 H 0.569 0.262 0.468 1
H5 H 0.208 0.243 0.440 1
H6 H 0.792 0.757 0.560 1
H7 H 0.292 0.257 0.940 1
H8 H 0.238 0.931 0.032 1
H9 H 0.069 0.762 0.032 1
H10 H 0.738 0.431 0.468 1
H11 H 0.757 0.792 0.440 1
H12 H 0.257 0.292 0.060 1
H13 H 0.762 0.069 0.968 1
H14 H 0.708 0.743 0.060 1
H15 H 0.743 0.708 0.940 1
H16 H 0.243 0.208 0.560 1
O1 O 0.172 0.828 0.987 1
O2 O 0.608 0.392 0.835 1
O3 O 0.865 0.432 0.182 1
O4 O 0.672 0.328 0.513 1
O5 O 0.867 0.815 0.174 1
O6 O 0.338 0.338 0.000 1
O7 O 0.162 0.162 0.500 1
O8 O 0.838 0.838 0.500 1
O9 O 0.892 0.108 0.335 1
O10 O 0.685 0.633 0.326 1
O11 O 0.633 0.685 0.674 1
O12 O 0.108 0.892 0.665 1
O13 O 0.432 0.865 0.818 1
O14 O 0.568 0.135 0.182 1
O15 O 0.135 0.568 0.818 1
O16 O 0.367 0.315 0.326 1
O17 O 0.392 0.608 0.165 1
O18 O 0.365 0.932 0.318 1
O19 O 0.662 0.662 0.000 1
O20 O 0.815 0.867 0.826 1
O21 O 0.828 0.172 0.013 1
O22 O 0.068 0.635 0.318 1
O23 O 0.315 0.367 0.674 1
O24 O 0.185 0.133 0.174 1
O25 O 0.635 0.068 0.682 1
O26 O 0.328 0.672 0.487 1
O27 O 0.932 0.365 0.682 1
O28 O 0.133 0.185 0.826 1
V1 V 0.877 0.123 0.212 1
V2 V 0.377 0.623 0.288 1
V3 V 0.623 0.377 0.712 1
V4 V 0.123 0.877 0.788 1
P1 P 0.873 0.627 0.250 1
P2 P 0.373 0.127 0.250 1
P3 P 0.627 0.873 0.750 1
P4 P 0.127 0.373 0.750 1
Li1 Li 0.379 0.621 0.929 1
Li2 Li 0.121 0.879 0.429 1
Li3 Li 0.879 0.121 0.571 1
Li4 Li 0.621 0.379 0.071 1
```